# 1
PrAu | r²SCAN | optimized geometry

Output
The total energy comes out at -40.88 eV/atom. The total moment comes out at 0.000 Bohr magnetons per cell.

Cell lengths 4.856, 5.799, 7.565 Å; angles 90.00, 90.00, 90.00 degrees
Element x y z (fractional)
Pr: 0.250 0.356 0.687
Pr: 0.250 0.144 0.187
Pr: 0.750 0.644 0.313
Pr: 0.750 0.856 0.813
Au: 0.750 0.352 0.960
Au: 0.750 0.148 0.460
Au: 0.250 0.648 0.040
Au: 0.250 0.852 0.540

***

# 2
NaMn16O32 | r²SCAN | optimized geometry

Output
The total energy comes out at -10.82 eV/atom. The total moment comes out at 48.991 Bohr magnetons per cell.

Cell lengths 9.735, 9.735, 5.726 Å; angles 90.00, 90.00, 90.00 degrees
Element x y z (fractional)
O: 0.654 0.703 0.500
O: 0.346 0.297 0.500
O: 0.703 0.346 0.500
O: 0.156 0.203 0.750
O: 0.834 0.543 0.750
O: 0.844 0.797 0.250
O: 0.042 0.662 0.000
O: 0.958 0.338 0.000
O: 0.166 0.457 0.750
O: 0.543 0.166 0.750
O: 0.299 0.653 0.000
O: 0.042 0.662 0.500
O: 0.653 0.701 0.000
O: 0.297 0.654 0.500
O: 0.662 0.958 0.500
O: 0.701 0.347 0.000
O: 0.834 0.543 0.250
O: 0.156 0.203 0.250
O: 0.457 0.834 0.250
O: 0.797 0.156 0.250
O: 0.844 0.797 0.750
O: 0.797 0.156 0.750
O: 0.203 0.844 0.250
O: 0.203 0.844 0.750
O: 0.662 0.958 0.000
O: 0.347 0.299 0.000
O: 0.166 0.457 0.250
O: 0.457 0.834 0.750
O: 0.338 0.042 0.000
O: 0.958 0.338 0.500
O: 0.338 0.042 0.500
O: 0.543 0.166 0.250
Mn: 0.349 0.167 0.251
Mn: 0.848 0.668 0.500
Mn: 0.167 0.651 0.251
Mn: 0.849 0.668 0.000
Mn: 0.668 0.152 0.500
Mn: 0.668 0.151 0.000
Mn: 0.151 0.332 0.000
Mn: 0.167 0.651 0.749
Mn: 0.833 0.349 0.749
Mn: 0.349 0.167 0.749
Mn: 0.651 0.833 0.251
Mn: 0.332 0.848 0.500
Mn: 0.833 0.349 0.251
Mn: 0.332 0.849 0.000
Mn: 0.152 0.332 0.500
Mn: 0.651 0.833 0.749
Na: 0.500 0.500 0.000

***

# 3
GdCuSe2 | r²SCAN | optimized geometry

Output
The total energy comes out at -22.13 eV/atom. The total moment comes out at 0.000 Bohr magnetons per cell.

Cell lengths 6.628, 7.099, 7.347 Å; angles 90.00, 90.00, 96.40 degrees
Element x y z (fractional)
Cu: 0.569 0.045 0.659
Cu: 0.569 0.545 0.841
Cu: 0.431 0.455 0.159
Cu: 0.431 0.955 0.341
Se: 0.402 0.720 0.612
Se: 0.402 0.220 0.888
Se: 0.922 0.503 0.775
Se: 0.078 0.997 0.275
Se: 0.922 0.003 0.725
Se: 0.598 0.280 0.388
Se: 0.078 0.497 0.225
Se: 0.598 0.780 0.112
Gd: 0.193 0.800 0.954
Gd: 0.193 0.300 0.546
Gd: 0.807 0.200 0.046
Gd: 0.807 0.700 0.454

***

# 4
EuAl2S4 | r²SCAN | optimized geometry

Output
The total energy comes out at -13.67 eV/atom. The total moment comes out at 14.000 Bohr magnetons per cell.

Cell lengths 5.994, 5.994, 10.461 Å; angles 90.00, 90.00, 120.67 degrees
Element x y z (fractional)
S: 0.646 0.821 0.500
S: 0.354 0.179 0.500
S: 0.000 0.500 0.337
S: 0.500 0.000 0.163
S: 0.000 0.500 0.663
S: 0.179 0.354 0.000
S: 0.500 0.000 0.837
S: 0.821 0.646 0.000
Al: 0.238 0.760 0.500
Al: 0.760 0.238 0.000
Al: 0.240 0.762 0.000
Al: 0.762 0.240 0.500
Eu: 0.500 0.500 0.250
Eu: 0.500 0.500 0.750

***

# 5
Rb2AgI3 | r²SCAN | optimized geometry

Output
The total energy comes out at -21.75 eV/atom. The total moment comes out at 0.000 Bohr magnetons per cell.

Cell lengths 4.933, 10.372, 20.101 Å; angles 90.00, 90.00, 90.00 degrees
Element x y z (fractional)
Rb: 0.750 0.244 0.042
Rb: 0.250 0.756 0.958
Rb: 0.750 0.744 0.458
Rb: 0.250 0.580 0.212
Rb: 0.750 0.420 0.788
Rb: 0.250 0.256 0.542
Rb: 0.250 0.080 0.288
Rb: 0.750 0.920 0.712
I: 0.750 0.120 0.429
I: 0.750 0.505 0.603
I: 0.250 0.186 0.723
I: 0.250 0.880 0.571
I: 0.750 0.620 0.071
I: 0.250 0.495 0.397
I: 0.750 0.005 0.897
I: 0.750 0.814 0.277
I: 0.250 0.380 0.929
I: 0.750 0.314 0.223
I: 0.250 0.995 0.103
I: 0.250 0.686 0.777
Ag: 0.750 0.863 0.136
Ag: 0.250 0.637 0.636
Ag: 0.250 0.137 0.864
Ag: 0.750 0.363 0.364

***

# 6
Cr3P | r²SCAN | optimized geometry

Output
The total energy comes out at -13.68 eV/atom. The total moment comes out at 0.000 Bohr magnetons per cell.

Cell lengths 4.450, 6.766, 6.766 Å; angles 83.79, 70.80, 70.80 degrees
Element x y z (fractional)
Cr: 0.450 0.611 0.944
Cr: 0.864 0.824 0.975
Cr: 0.161 0.975 0.176
Cr: 0.359 0.670 0.613
Cr: 0.005 0.389 0.056
Cr: 0.939 0.056 0.611
Cr: 0.971 0.387 0.670
Cr: 0.606 0.944 0.389
Cr: 0.642 0.330 0.387
Cr: 0.663 0.176 0.025
Cr: 0.312 0.025 0.824
Cr: 0.027 0.613 0.330
P: 0.215 0.246 0.334
P: 0.451 0.334 0.754
P: 0.539 0.666 0.246
P: 0.795 0.754 0.666

***

# 7
Y3Lu | r²SCAN | optimized geometry

Output
The total energy comes out at -24.72 eV/atom. The total moment comes out at 0.037 Bohr magnetons per cell.

Cell lengths 7.289, 7.289, 5.615 Å; angles 90.00, 90.00, 120.00 degrees
Element x y z (fractional)
Y: 0.168 0.336 0.250
Y: 0.336 0.168 0.750
Y: 0.832 0.168 0.750
Y: 0.168 0.832 0.250
Y: 0.832 0.664 0.750
Y: 0.664 0.832 0.250
Lu: 0.333 0.667 0.750
Lu: 0.667 0.333 0.250

***

# 8
SmPS | r²SCAN | optimized geometry

Output
The total energy comes out at -17.39 eV/atom. The total moment comes out at 0.000 Bohr magnetons per cell.

Cell lengths 5.446, 5.500, 17.005 Å; angles 90.00, 90.00, 90.00 degrees
Element x y z (fractional)
S: 0.250 0.012 0.817
S: 0.250 0.485 0.189
S: 0.750 0.515 0.811
S: 0.750 0.015 0.689
S: 0.750 0.988 0.183
S: 0.250 0.985 0.311
S: 0.750 0.488 0.317
S: 0.250 0.512 0.683
Sm: 0.750 0.517 0.638
Sm: 0.250 0.516 0.852
Sm: 0.250 0.016 0.648
Sm: 0.750 0.484 0.148
Sm: 0.750 0.984 0.352
Sm: 0.250 0.983 0.138
Sm: 0.750 0.017 0.862
Sm: 0.250 0.483 0.362
P: 0.957 0.698 0.003
P: 0.043 0.302 0.997
P: 0.957 0.198 0.497
P: 0.043 0.802 0.503
P: 0.457 0.802 0.503
P: 0.543 0.198 0.497
P: 0.457 0.302 0.997
P: 0.543 0.698 0.003

***

Please write out number 7 again, unchanged.
Y3Lu | r²SCAN | optimized geometry

Output
The total energy comes out at -24.72 eV/atom. The total moment comes out at 0.037 Bohr magnetons per cell.

Cell lengths 7.289, 7.289, 5.615 Å; angles 90.00, 90.00, 120.00 degrees
Element x y z (fractional)
Y: 0.168 0.336 0.250
Y: 0.336 0.168 0.750
Y: 0.832 0.168 0.750
Y: 0.168 0.832 0.250
Y: 0.832 0.664 0.750
Y: 0.664 0.832 0.250
Lu: 0.333 0.667 0.750
Lu: 0.667 0.333 0.250

***

Copy entry 7 word for word.
Y3Lu | r²SCAN | optimized geometry

Output
The total energy comes out at -24.72 eV/atom. The total moment comes out at 0.037 Bohr magnetons per cell.

Cell lengths 7.289, 7.289, 5.615 Å; angles 90.00, 90.00, 120.00 degrees
Element x y z (fractional)
Y: 0.168 0.336 0.250
Y: 0.336 0.168 0.750
Y: 0.832 0.168 0.750
Y: 0.168 0.832 0.250
Y: 0.832 0.664 0.750
Y: 0.664 0.832 0.250
Lu: 0.333 0.667 0.750
Lu: 0.667 0.333 0.250